Record 1
CdInS2: optimized geometry, GGA-PBE.

Output
Formation enthalpy at 0 K in meV/atom: -623
Raw total energy in eV for the cell shown: -13.43
Total magnetic moment in Bohr magnetons per cell: 0.0

Cell lengths 3.8695, 3.8695, 6.8105 Å; angles 90.00, 90.00, 120.00 degrees
Sites, in units of the cell vectors:
Cd  0.0000  0.0000  0.0000
In  0.0000  0.0000  0.5000
S  0.3333  0.6667  0.2450
S  0.6667  0.3333  0.7550

---

Record 2
NpSb: optimized geometry, GGA-PBE.

Output
Formation enthalpy at 0 K in meV/atom: -314
Raw total energy in eV for the cell shown: -17.51

Cell lengths 3.9405, 3.9405, 3.2920 Å; angles 90.00, 90.00, 90.00 degrees
Sites, in units of the cell vectors:
Np  0.0000  0.0000  0.0000
Sb  0.5000  0.5000  0.5000

---

Record 3
Eu2S3: optimized geometry, GGA-PBE.

Output
Formation enthalpy at 0 K in meV/atom: -1925
Raw total energy in eV for the cell shown: -164.17
Total magnetic moment in Bohr magnetons per cell: 48.0

Cell lengths 7.4058, 4.0829, 15.2648 Å; angles 90.00, 90.00, 90.00 degrees
Sites, in units of the cell vectors:
Eu  0.1409  0.2500  0.2060
Eu  0.2299  0.7500  0.4578
Eu  0.2701  0.2500  0.9578
Eu  0.3591  0.7500  0.7060
Eu  0.6409  0.2500  0.2940
Eu  0.7299  0.7500  0.0422
Eu  0.7701  0.2500  0.5422
Eu  0.8591  0.7500  0.7940
S  0.0066  0.2500  0.3919
S  0.1285  0.7500  0.0676
S  0.1462  0.2500  0.7819
S  0.3538  0.7500  0.2819
S  0.3715  0.2500  0.5676
S  0.4934  0.7500  0.8919
S  0.5066  0.2500  0.1081
S  0.6285  0.7500  0.4324
S  0.6462  0.2500  0.7181
S  0.8538  0.7500  0.2181
S  0.8715  0.2500  0.9324
S  0.9934  0.7500  0.6081

---

Record 4
Nd6In22Pt13: optimized geometry, GGA-PBE.

Output
Formation enthalpy at 0 K in meV/atom: -651
Raw total energy in eV for the cell shown: -194.77
Total magnetic moment in Bohr magnetons per cell: 0.0

Cell lengths 14.5186, 14.5186, 15.1415 Å; angles 112.11, 112.11, 17.84 degrees
Sites, in units of the cell vectors:
Nd  0.0464  0.0464  0.1988
Nd  0.3218  0.3218  0.4199
Nd  0.3372  0.3372  0.9700
Nd  0.6628  0.6628  0.0300
Nd  0.6782  0.6782  0.5801
Nd  0.9536  0.9536  0.8012
In  0.0295  0.0295  0.6790
In  0.0647  0.0647  0.0024
In  0.0917  0.0917  0.4525
In  0.1739  0.1739  0.2197
In  0.2128  0.2128  0.9347
In  0.2280  0.2280  0.7483
In  0.2626  0.2626  0.5838
In  0.3574  0.3574  0.2181
In  0.3759  0.3759  0.6689
In  0.4445  0.4445  0.4362
In  0.4569  0.4569  0.1603
In  0.5431  0.5431  0.8397
In  0.5555  0.5555  0.5638
In  0.6241  0.6241  0.3311
In  0.6426  0.6426  0.7819
In  0.7374  0.7374  0.4162
In  0.7720  0.7720  0.2517
In  0.7872  0.7872  0.0653
In  0.8261  0.8261  0.7803
In  0.9083  0.9083  0.5475
In  0.9353  0.9353  0.9976
In  0.9705  0.9705  0.3210
Pt  0.1073  0.1073  0.8630
Pt  0.1193  0.1193  0.6515
Pt  0.1795  0.1795  0.4121
Pt  0.2483  0.2483  0.1362
Pt  0.4011  0.4011  0.8643
Pt  0.4672  0.4672  0.6391
Pt  0.5000  0.5000  0.0000
Pt  0.5328  0.5328  0.3609
Pt  0.5989  0.5989  0.1357
Pt  0.7517  0.7517  0.8638
Pt  0.8205  0.8205  0.5879
Pt  0.8807  0.8807  0.3485
Pt  0.8927  0.8927  0.1370